## Rb (PBE)

Data for a relaxed Rb crystal.

Lattice parameters (Å, degrees): 12.427 9.204 9.062 85.74 47.61 46.65
Atoms (fractional coordinates):
Rb (0.133, 0.867, 0.133)
Rb (0.117, 0.383, 0.117)
Rb (0.867, 0.133, 0.867)
Rb (0.383, 0.117, 0.383)

Computed properties:
The formation energy comes out at 7 kJ per mole of atoms. Its space-group type is Fddd, No. 70. For the offset from the most stable computed form, the calculation gives 0.075 eV per atom.

---

## Rb (PBE)

Data for a relaxed Rb crystal.

Lattice parameters (Å, degrees): 8.979 9.420 9.985 102.42 114.11 92.54
Atoms (fractional coordinates):
Rb (0.389, 0.795, 0.234)
Rb (0.975, 0.821, 0.782)
Rb (0.895, 0.600, 0.269)
Rb (0.780, 0.299, 0.751)
Rb (0.273, 0.289, 0.733)
Rb (0.453, 0.782, 0.726)
Rb (0.849, 0.089, 0.230)
Rb (0.364, 0.303, 0.250)

Computed properties:
The formation energy comes out at 5 kJ per mole of atoms. Its space-group type is P1, No. 1. For the offset from the most stable computed form, the calculation gives 0.054 eV per atom.

---

## Rb (PBE)

Data for a relaxed Rb crystal.

Lattice parameters (Å, degrees): 9.369 9.447 10.436 112.92 113.92 92.05
Atoms (fractional coordinates):
Rb (0.213, 0.616, 0.771)
Rb (0.176, 0.018, 0.211)
Rb (0.392, 0.101, 0.723)
Rb (0.700, 0.224, 0.251)
Rb (0.718, 0.731, 0.274)
Rb (0.212, 0.547, 0.279)
Rb (0.913, 0.154, 0.767)
Rb (0.699, 0.630, 0.749)

Computed properties:
The formation energy comes out at 5 kJ per mole of atoms. Its space-group type is P1, No. 1. For the offset from the most stable computed form, the calculation gives 0.057 eV per atom.

---

## Rb (PBE)

Data for a relaxed Rb crystal.

Lattice parameters (Å, degrees): 9.131 9.131 9.131 149.80 149.80 43.24
Atoms (fractional coordinates):
Rb (0.250, 0.750, 0.500)
Rb (0.500, 0.500, 0.000)

Computed properties:
The formation energy comes out at 7 kJ per mole of atoms. Its space-group type is I4_1/amd, No. 141. For the offset from the most stable computed form, the calculation gives 0.070 eV per atom.

---

Q: What is the offset from the most stable computed form in the first record?
A: 0.075 eV per atom

---

Q: The lowest offset from the most stable computed form belongs to which entry?
A: number 2

---

Q: What is the offset from the most stable computed form in the second record?
A: 0.054 eV per atom

---

Q: Among the records above, which one has the lowest offset from the most stable computed form?
A: number 2